First-principles (PBE-GGA) data for crystalline NaTe at its relaxed geometry, as listed in the Materials Project database.

a = 16.033 Å, b = 10.079 Å, c = 9.167 Å
α = 90.00°, β = 90.00°, γ = 90.00°
Space group Pbcn (No. 60)
Asymmetric unit:
Na 0.029 0.180 0.060 [8 per cell]
Na 0.113 0.330 0.742 [8 per cell]
Na 0.190 0.012 0.274 [8 per cell]
Te 0.000 0.072 0.750 [4 per cell]
Te 0.000 0.500 0.000 [4 per cell]
Te 0.133 0.359 0.308 [8 per cell]
Te 0.247 0.247 0.011 [8 per cell]

E in eV per cell: -140.98
Theoretical density in g cm⁻³: 4.05



First-principles (PBE-GGA) data for crystalline ErNiBi at its relaxed geometry, as listed in the Materials Project database.

a = 6.450 Å, b = 6.450 Å, c = 6.450 Å
α = 90.00°, β = 90.00°, γ = 90.00°
Space group F-43m (No. 216)
Asymmetric unit:
Er 0.000 0.000 0.000 [4 per cell]
Ni 0.250 0.250 0.250 [4 per cell]
Bi 0.000 0.000 0.500 [4 per cell]

E in eV per cell: -64.89
Theoretical density in g cm⁻³: 10.77



First-principles (PBE-GGA) data for crystalline BaSi2 at its relaxed geometry, as listed in the Materials Project database.

a = 9.009 Å, b = 6.778 Å, c = 11.602 Å
α = 90.00°, β = 90.00°, γ = 90.00°
Space group Pnma (No. 62)
Asymmetric unit:
Ba 0.015 0.250 0.191 [4 per cell]
Ba 0.159 0.750 0.407 [4 per cell]
Si 0.083 0.750 0.092 [4 per cell]
Si 0.194 0.073 0.647 [8 per cell]
Si 0.198 0.250 0.467 [4 per cell]

E in eV per cell: -110.80
Theoretical density in g cm⁻³: 3.63